First-principles (GGA+U) data for a geometry-optimized Ba5Co5ClO13 structure, as listed in the Materials Project.

Lattice parameters (Å, degrees): 5.785 5.785 24.784 90.00 90.00 120.00
Positions (direct):
O 0.333 0.667 0.750
O 0.852 0.703 0.952
O 0.297 0.148 0.952
O 0.852 0.148 0.952
O 0.162 0.325 0.852
O 0.838 0.675 0.148
O 0.297 0.148 0.548
O 0.675 0.838 0.852
O 0.703 0.852 0.048
O 0.325 0.162 0.352
O 0.162 0.325 0.648
O 0.162 0.838 0.852
O 0.667 0.333 0.250
O 0.325 0.162 0.148
O 0.703 0.852 0.452
O 0.675 0.838 0.648
O 0.838 0.162 0.148
O 0.148 0.852 0.452
O 0.838 0.162 0.352
O 0.852 0.148 0.548
O 0.148 0.297 0.452
O 0.852 0.703 0.548
O 0.148 0.852 0.048
O 0.148 0.297 0.048
O 0.162 0.838 0.648
O 0.838 0.675 0.352
Co 0.333 0.667 0.677
Co 0.000 0.000 0.897
Co 0.667 0.333 0.323
Co 0.000 0.000 0.000
Co 0.333 0.667 0.823
Co 0.000 0.000 0.397
Co 0.000 0.000 0.103
Co 0.000 0.000 0.603
Co 0.667 0.333 0.177
Co 0.000 0.000 0.500
Ba 0.333 0.667 0.127
Ba 0.333 0.667 0.373
Ba 0.333 0.667 0.960
Ba 0.000 0.000 0.750
Ba 0.667 0.333 0.627
Ba 0.000 0.000 0.250
Ba 0.333 0.667 0.540
Ba 0.667 0.333 0.460
Ba 0.667 0.333 0.873
Ba 0.667 0.333 0.040
Cl 0.333 0.667 0.250
Cl 0.667 0.333 0.750

## Properties
VASP energy: -285.72 eV for the cell shown
SG: No. 194

---

First-principles (GGA+U) data for a geometry-optimized Li4TiCr5O12 structure, as listed in the Materials Project.

Lattice parameters (Å, degrees): 8.901 8.911 10.260 90.41 89.82 119.94
Positions (direct):
Li 0.734 0.794 0.722
Li 0.237 0.796 0.774
Li 0.443 0.561 0.230
Li 0.287 0.884 0.274
Li 0.058 0.437 0.727
Li 0.713 0.116 0.726
Li 0.942 0.563 0.273
Li 0.763 0.204 0.226
Li 0.215 0.119 0.771
Li 0.785 0.881 0.229
Li 0.557 0.439 0.770
Li 0.266 0.206 0.278
Cr 0.332 0.334 0.000
Cr 0.668 0.666 0.000
Cr 0.999 0.667 0.998
Cr 0.001 0.333 0.002
Cr 0.335 0.002 0.003
Cr 0.165 0.997 0.502
Cr 0.166 0.665 0.500
Cr 0.499 0.667 0.503
Cr 0.165 0.333 0.499
Cr 0.501 0.333 0.497
Cr 0.665 0.998 0.997
Cr 0.834 0.335 0.500
Cr 0.500 0.000 0.500
Cr 0.835 0.003 0.498
Cr 0.835 0.667 0.501
O 0.279 0.222 0.599
O 0.939 0.228 0.603
O 0.109 0.216 0.899
O 0.553 0.444 0.103
O 0.446 0.226 0.895
O 0.381 0.774 0.402
O 0.386 0.440 0.397
O 0.732 0.444 0.401
O 0.230 0.453 0.101
O 0.562 0.117 0.101
O 0.447 0.556 0.897
O 0.116 0.895 0.896
O 0.884 0.105 0.104
O 0.721 0.778 0.401
O 0.777 0.223 0.900
O 0.058 0.110 0.403
O 0.554 0.774 0.105
O 0.273 0.884 0.600
O 0.219 0.111 0.102
O 0.061 0.772 0.397
O 0.223 0.777 0.100
O 0.781 0.889 0.898
O 0.619 0.226 0.598
O 0.942 0.890 0.597
O 0.116 0.559 0.896
O 0.380 0.104 0.396
O 0.727 0.116 0.400
O 0.438 0.883 0.899
O 0.884 0.441 0.104
O 0.268 0.556 0.599
O 0.891 0.784 0.101
O 0.048 0.446 0.400
O 0.614 0.560 0.603
O 0.952 0.554 0.600
O 0.620 0.896 0.604
O 0.770 0.547 0.899
Ti 0.338 0.665 0.998
Ti 0.662 0.335 0.002
Ti 0.000 0.000 0.000

## Properties
Polymorph energy (0 for the lowest one): 0.0000 eV/atom
SG: No. 2

---

First-principles (GGA+U) data for a geometry-optimized Li6V3P8O29 structure, as listed in the Materials Project.

Lattice parameters (Å, degrees): 9.808 9.817 14.037 89.55 89.43 60.18
Positions (direct):
O 0.478 0.332 0.177
O 0.341 0.747 0.672
O 0.915 0.334 0.663
O 0.327 0.343 0.025
O 0.258 0.077 0.341
O 0.668 0.816 0.829
O 0.376 0.531 0.333
O 0.517 0.668 0.834
O 0.236 0.980 0.562
O 0.912 0.621 0.668
O 0.231 0.770 0.064
O 0.329 0.188 0.173
O 0.196 0.018 0.740
O 0.183 0.485 0.174
O 0.663 0.682 0.476
O 0.531 0.373 0.835
O 0.816 0.517 0.826
O 0.658 0.082 0.847
O 0.207 0.992 0.920
O 0.789 0.007 0.250
O 0.189 0.330 0.673
O 0.791 0.991 0.067
O 0.784 0.195 0.741
O 0.097 0.370 0.333
O 0.337 0.913 0.162
O 0.083 0.657 0.347
O 0.468 0.918 0.669
O 0.669 0.518 0.336
O 0.658 0.258 0.345
O 0.009 0.788 0.748
O 0.019 0.195 0.239
O 0.800 0.212 0.919
O 0.989 0.789 0.566
O 0.816 0.670 0.328
O 0.107 0.517 0.828
O 0.622 0.911 0.168
O 0.517 0.106 0.328
O 0.368 0.100 0.832
O 0.911 0.470 0.170
O 0.258 0.659 0.844
O 0.977 0.238 0.062
O 0.517 0.817 0.325
O 0.344 0.330 0.526
O 0.679 0.662 0.976
O 0.920 0.747 0.164
O 0.990 0.206 0.419
O 0.468 0.619 0.173
O 0.196 0.784 0.241
O 0.487 0.184 0.673
O 0.764 0.998 0.429
O 0.215 0.798 0.419
O 0.997 0.765 0.928
O 0.335 0.479 0.677
O 0.747 0.919 0.666
O 0.746 0.340 0.174
O 0.076 0.258 0.841
O 0.620 0.470 0.673
O 0.768 0.233 0.565
Li 0.896 0.344 0.938
Li 0.905 0.766 0.443
Li 0.087 0.684 0.061
Li 0.765 0.333 0.439
Li 0.337 0.324 0.892
Li 0.766 0.906 0.943
Li 0.344 0.898 0.438
Li 0.683 0.087 0.562
Li 0.324 0.337 0.392
Li 0.980 0.051 0.003
Li 0.332 0.766 0.939
Li 0.051 0.980 0.501
V 0.439 0.563 0.750
V 0.998 0.561 0.252
V 0.561 0.998 0.752
V 0.433 0.002 0.243
V 0.566 0.435 0.250
V 0.002 0.433 0.744
P 0.680 0.090 0.341
P 0.913 0.314 0.157
P 0.777 0.915 0.157
P 0.313 0.771 0.155
P 0.333 0.336 0.132
P 0.773 0.312 0.656
P 0.091 0.681 0.841
P 0.088 0.214 0.339
P 0.214 0.088 0.839
P 0.221 0.692 0.341
P 0.313 0.913 0.655
P 0.915 0.776 0.657
P 0.664 0.671 0.370
P 0.338 0.333 0.632
P 0.670 0.664 0.871
P 0.693 0.219 0.841

## Properties
Polymorph energy (0 for the lowest one): 0.0074 eV/atom
SG: No. 1

---

First-principles (GGA+U) data for a geometry-optimized Cs2W3O12 structure, as listed in the Materials Project.

Lattice parameters (Å, degrees): 7.477 8.064 7.549 61.38 119.54 118.48
Positions (direct):
O 0.434 0.727 0.564
O 0.797 0.009 0.717
O 0.892 0.744 0.034
O 0.787 0.998 0.079
O 0.400 0.688 0.119
O 0.412 0.976 0.721
O 0.211 0.017 0.287
O 0.617 0.258 0.939
O 0.096 0.312 0.878
O 0.631 0.280 0.418
O 0.214 0.999 0.932
O 0.566 0.977 0.299
W 0.499 0.014 0.500
W 0.018 0.049 0.992
W 0.482 0.952 0.019
Cs 0.845 0.625 0.627
Cs 0.098 0.377 0.375

## Properties
VASP energy: -108.52 eV for the cell shown
SG: No. 1

---

First-principles (GGA+U) data for a geometry-optimized MgCoP2O7 structure, as listed in the Materials Project.

Lattice parameters (Å, degrees): 4.554 5.319 5.333 76.00 81.74 98.38
Positions (direct):
O 0.507 0.525 0.594
O 0.506 0.228 0.283
O 0.441 0.982 0.837
O 0.017 0.222 0.594
O 0.228 0.607 0.219
O 0.951 0.985 0.138
O 0.949 0.672 0.842
P 0.135 0.822 0.997
P 0.322 0.384 0.431
Co 0.726 0.909 0.529
Mg 0.732 0.288 0.903

## Properties
Polymorph energy (0 for the lowest one): 0.0207 eV/atom
SG: No. 1

---

First-principles (GGA+U) data for a geometry-optimized Li9Mn2Co5O16 structure, as listed in the Materials Project.

Lattice parameters (Å, degrees): 6.571 6.571 10.136 59.61 59.61 52.77
Positions (direct):
O 0.647 0.129 0.997
O 0.105 0.105 0.767
O 0.617 0.617 0.242
O 0.129 0.647 0.997
O 0.880 0.348 0.509
O 0.114 0.114 0.269
O 0.384 0.384 0.243
O 0.871 0.353 0.003
O 0.353 0.871 0.003
O 0.886 0.886 0.731
O 0.616 0.616 0.757
O 0.383 0.383 0.758
O 0.348 0.880 0.509
O 0.120 0.652 0.491
O 0.652 0.120 0.491
O 0.895 0.895 0.233
Co 0.259 0.744 0.741
Co 0.256 0.741 0.259
Co 0.741 0.256 0.259
Co 0.500 0.500 0.000
Co 0.744 0.259 0.741
Li 0.502 0.005 0.742
Li 0.995 0.498 0.258
Li 0.745 0.745 0.505
Li 0.255 0.255 0.495
Li 0.750 0.750 0.000
Li 0.500 0.500 0.500
Li 0.498 0.995 0.258
Li 0.250 0.250 0.000
Li 0.005 0.502 0.742
Mn 0.000 0.000 0.500
Mn 0.000 0.000 0.000

## Properties
Polymorph energy (0 for the lowest one): 0.1218 eV/atom
SG: No. 12

---

First-principles (GGA+U) data for a geometry-optimized CrPO10 structure, as listed in the Materials Project.

Lattice parameters (Å, degrees): 6.344 6.344 25.607 88.10 88.10 74.41
Positions (direct):
O 0.345 0.177 0.802
O 0.082 0.537 0.560
O 0.371 0.350 0.657
O 0.328 0.658 0.738
O 0.611 0.261 0.710
O 0.735 0.605 0.687
O 0.680 0.425 0.618
O 0.981 0.454 0.791
O 0.537 0.082 0.060
O 0.747 0.381 0.444
O 0.006 0.085 0.837
O 0.075 0.116 0.739
O 0.493 0.228 0.503
O 0.085 0.006 0.337
O 0.658 0.328 0.238
O 0.613 0.179 0.465
O 0.454 0.981 0.291
O 0.637 0.705 0.851
O 0.357 0.514 0.394
O 0.514 0.357 0.894
O 0.425 0.680 0.118
O 0.417 0.738 0.635
O 0.116 0.075 0.239
O 0.705 0.637 0.351
O 0.177 0.345 0.302
O 0.708 0.793 0.548
O 0.350 0.371 0.157
O 0.505 0.825 0.436
O 0.228 0.493 0.003
O 0.261 0.611 0.210
O 0.179 0.613 0.965
O 0.825 0.505 0.936
O 0.793 0.708 0.048
O 0.381 0.747 0.944
O 0.962 0.885 0.612
O 0.041 0.904 0.515
O 0.904 0.041 0.015
O 0.605 0.735 0.187
O 0.738 0.417 0.135
O 0.885 0.962 0.112
Cr 0.556 0.472 0.188
Cr 0.576 0.586 0.406
Cr 0.586 0.576 0.906
Cr 0.472 0.556 0.688
P 0.100 0.207 0.793
P 0.207 0.100 0.293
P 0.778 0.951 0.059
P 0.951 0.778 0.559

## Properties
Polymorph energy (0 for the lowest one): 0.2560 eV/atom
SG: No. 9

---

First-principles (GGA+U) data for a geometry-optimized LiFe2OF3 structure, as listed in the Materials Project.

Lattice parameters (Å, degrees): 5.020 6.164 10.774 90.00 90.00 90.00
Positions (direct):
F 0.232 0.990 0.168
F 0.732 0.490 0.332
F 0.312 0.250 0.882
F 0.732 0.010 0.332
F 0.268 0.510 0.668
F 0.768 0.490 0.832
F 0.768 0.010 0.832
F 0.232 0.510 0.168
F 0.688 0.750 0.118
F 0.812 0.750 0.618
F 0.188 0.250 0.382
F 0.268 0.990 0.668
Fe 0.456 0.750 0.289
Fe 0.044 0.750 0.789
Fe 0.544 0.250 0.711
Fe 0.500 0.500 0.000
Fe 0.000 0.000 0.500
Fe 0.500 0.000 0.000
Fe 0.000 0.500 0.500
Fe 0.956 0.250 0.211
Li 0.553 0.250 0.408
Li 0.947 0.250 0.908
Li 0.447 0.750 0.592
Li 0.053 0.750 0.092
O 0.769 0.250 0.560
O 0.731 0.250 0.060
O 0.231 0.750 0.440
O 0.269 0.750 0.940

## Properties
Polymorph energy (0 for the lowest one): 0.0098 eV/atom
SG: No. 62

---

First-principles (GGA+U) data for a geometry-optimized Sr2TaMnO6 structure, as listed in the Materials Project.

Lattice parameters (Å, degrees): 5.682 5.682 5.682 60.00 60.00 60.00
Positions (direct):
Mn 0.500 0.500 0.500
O 0.247 0.247 0.753
O 0.753 0.247 0.247
O 0.753 0.753 0.247
O 0.247 0.753 0.247
O 0.247 0.753 0.753
O 0.753 0.247 0.753
Ta 0.000 0.000 0.000
Sr 0.250 0.250 0.250
Sr 0.750 0.750 0.750

## Properties
VASP energy: -79.11 eV for the cell shown
SG: No. 225